(1)
MnOF PBE+U optimized geometry; size of the total moment = 32.00 Bohr magnetons per cell; uncorrected energy = -6.7376 eV per atom; E_form = -2.335 eV/atom
1.0
4.8237 0.0000 0.0000
0.0000 3.0637 0.0000
-1.6887 0.0000 18.9407
Mn O F
8 8 8
Direct
0.0000 0.0000 0.0000 Mn
0.0000 0.0000 0.5000 Mn
0.0543 0.0000 0.2510 Mn
0.4060 0.5000 0.8748 Mn
0.4749 0.5000 0.6238 Mn
0.5251 0.5000 0.3762 Mn
0.5940 0.5000 0.1252 Mn
0.9457 0.0000 0.7490 Mn
0.1598 0.5000 0.9530 O
0.2423 0.0000 0.8243 O
0.2920 0.0000 0.5743 O
0.3373 0.0000 0.3273 O
0.6627 0.0000 0.6727 O
0.7080 0.0000 0.4257 O
0.7577 0.0000 0.1757 O
0.8402 0.5000 0.0470 O
0.1489 0.5000 0.7036 F
0.1909 0.5000 0.4525 F
0.2462 0.5000 0.2007 F
0.3622 0.0000 0.0794 F
0.6378 0.0000 0.9206 F
0.7538 0.5000 0.7993 F
0.8091 0.5000 0.5475 F
0.8511 0.5000 0.2964 F

=====

(2)
Li4TiCo2Ni3P6O24 PBE+U optimized geometry; size of the total moment = 6.00 Bohr magnetons per cell; uncorrected energy = -6.6274 eV per atom; E_form = -2.354 eV/atom
1.0
8.4145 0.0000 0.0000
3.9530 7.5337 0.0000
3.9422 2.4384 7.1558
Li Ti Co Ni P O
4 1 2 3 6 24
Direct
0.0000 0.0000 0.0000 Li
0.0995 0.5062 0.8628 Li
0.4559 0.7106 0.3045 Li
0.8917 0.0679 0.5058 Li
0.8929 0.5078 0.3054 Ti
0.2546 0.8572 0.6479 Co
0.7342 0.3607 0.1504 Co
0.1007 0.7107 0.5051 Ni
0.3870 0.0048 0.7956 Ni
0.6023 0.2140 0.0050 Ni
0.1919 0.1101 0.1926 P
0.3021 0.6089 0.1045 P
0.4992 0.4010 0.6068 P
0.6925 0.9138 0.4086 P
0.7983 0.8171 0.9068 P
0.9972 0.3114 0.7082 P
0.0653 0.4632 0.6777 O
0.1332 0.5347 0.1699 O
0.1437 0.1133 0.7153 O
0.1844 0.9506 0.3891 O
0.1921 0.0560 0.0451 O
0.2748 0.6742 0.2567 O
0.2819 0.7714 0.9203 O
0.3409 0.6007 0.5896 O
0.3513 0.1788 0.1345 O
0.4385 0.2482 0.6304 O
0.4947 0.4548 0.0784 O
0.4989 0.9145 0.5598 O
0.5782 0.3610 0.7517 O
0.6287 0.8595 0.8591 O
0.6498 0.4414 0.3983 O
0.6853 0.0996 0.2442 O
0.7541 0.7444 0.3390 O
0.7871 0.9596 0.9744 O
0.8292 0.6101 0.0584 O
0.8453 0.8806 0.4797 O
0.8456 0.2854 0.9037 O
0.9271 0.3712 0.5406 O
0.9872 0.2645 0.2389 O
0.9938 0.7937 0.7438 O

=====

(3)
FeOF PBE+U optimized geometry; size of the total moment = 60.00 Bohr magnetons per cell; uncorrected energy = -6.0067 eV per atom; E_form = -2.031 eV/atom
1.0
9.4795 0.0000 0.0000
0.0000 3.1070 0.0000
-0.0707 0.0000 14.2130
Fe O F
12 12 12
Direct
0.0000 0.0000 0.0000 Fe
0.0007 0.0000 0.3248 Fe
0.2111 0.5000 0.8324 Fe
0.2198 0.5000 0.4896 Fe
0.2235 0.5000 0.1578 Fe
0.4758 0.0000 0.0124 Fe
0.4998 0.0000 0.6666 Fe
0.5048 0.0000 0.3277 Fe
0.7114 0.5000 0.1609 Fe
0.7120 0.5000 0.4976 Fe
0.7290 0.5000 0.8219 Fe
0.9781 0.0000 0.6801 Fe
0.0717 0.5000 0.0612 O
0.0802 0.5000 0.3971 O
0.0807 0.5000 0.7231 O
0.1309 0.0000 0.8926 O
0.1337 0.0000 0.2288 O
0.3253 0.0000 0.0995 O
0.5702 0.5000 0.7314 O
0.5776 0.5000 0.3946 O
0.5793 0.5000 0.0577 O
0.6329 0.0000 0.5619 O
0.6359 0.0000 0.2258 O
0.8229 0.0000 0.7666 O
0.1329 0.0000 0.5605 F
0.3269 0.0000 0.7615 F
0.3290 0.0000 0.4332 F
0.3731 0.5000 0.5944 F
0.3822 0.5000 0.9264 F
0.3834 0.5000 0.2700 F
0.6291 0.0000 0.8957 F
0.8282 0.0000 0.0972 F
0.8305 0.0000 0.4298 F
0.8737 0.5000 0.9333 F
0.8825 0.5000 0.2630 F
0.8865 0.5000 0.5935 F

=====

(4)
AgMoAsO6 PBE+U optimized geometry; size of the total moment = 0.00 Bohr magnetons per cell; uncorrected energy = -6.0698 eV per atom; E_form = -1.547 eV/atom
1.0
6.6490 0.0000 0.0000
0.0000 7.3385 0.0000
0.0000 0.0000 10.3318
Ag Mo As O
4 4 4 24
Direct
0.0196 0.1944 0.4944 Ag
0.4804 0.8056 0.9944 Ag
0.5196 0.3056 0.5056 Ag
0.9804 0.6944 0.0056 Ag
0.2483 0.6987 0.3297 Mo
0.2517 0.3013 0.8297 Mo
0.7483 0.8013 0.6703 Mo
0.7517 0.1987 0.1703 Mo
0.2501 0.2871 0.1591 As
0.2499 0.7129 0.6591 As
0.7501 0.2129 0.8409 As
0.7499 0.7871 0.3409 As
0.0445 0.8578 0.6567 O
0.0449 0.1417 0.1585 O
0.2448 0.9158 0.3983 O
0.2457 0.4245 0.0251 O
0.2491 0.7483 0.1616 O
0.2502 0.4001 0.3042 O
0.2498 0.5999 0.8042 O
0.2509 0.2517 0.6616 O
0.2543 0.5755 0.5251 O
0.2552 0.0842 0.8983 O
0.4551 0.8583 0.6585 O
0.4555 0.1422 0.1567 O
0.5445 0.6422 0.3433 O
0.5449 0.3583 0.8415 O
0.7448 0.5842 0.6017 O
0.7457 0.0755 0.9749 O
0.7491 0.7517 0.8384 O
0.7502 0.0999 0.6958 O
0.7498 0.9001 0.1958 O
0.7509 0.2483 0.3384 O
0.7543 0.9245 0.4749 O
0.7552 0.4158 0.1017 O
0.9551 0.6417 0.3415 O
0.9555 0.3578 0.8433 O

=====

(5)
Ta2Fe4O9 PBE+U optimized geometry; size of the total moment = 32.00 Bohr magnetons per cell; uncorrected energy = -8.1685 eV per atom; E_form = -2.374 eV/atom
1.0
5.3352 0.0000 0.0000
-2.6676 4.6204 0.0000
0.0000 0.0000 14.2449
Ta Fe O
4 8 18
Direct
0.0000 0.0000 0.1424 Ta
0.0000 0.0000 0.3576 Ta
0.0000 0.0000 0.6424 Ta
0.0000 0.0000 0.8576 Ta
0.3333 0.6667 0.0157 Fe
0.3333 0.6667 0.3078 Fe
0.3333 0.6667 0.5157 Fe
0.3333 0.6667 0.8078 Fe
0.6667 0.3333 0.1922 Fe
0.6667 0.3333 0.4843 Fe
0.6667 0.3333 0.6922 Fe
0.6667 0.3333 0.9843 Fe
0.0000 0.2804 0.2500 O
0.0000 0.7196 0.7500 O
0.0240 0.3360 0.9156 O
0.0240 0.6880 0.4156 O
0.2804 0.0000 0.2500 O
0.2804 0.2804 0.7500 O
0.3120 0.3360 0.4156 O
0.3120 0.9760 0.9156 O
0.3360 0.0240 0.5844 O
0.3360 0.3120 0.0844 O
0.6640 0.6880 0.9156 O
0.6640 0.9760 0.4156 O
0.6880 0.0240 0.0844 O
0.6880 0.6640 0.5844 O
0.7196 0.0000 0.7500 O
0.7196 0.7196 0.2500 O
0.9760 0.3120 0.5844 O
0.9760 0.6640 0.0844 O

=====

(6)
LiNi3OF5 PBE+U optimized geometry; size of the total moment = 6.00 Bohr magnetons per cell; excess energy over the best structure of this formula in the dataset = 0.000 eV per atom; uncorrected energy = -4.4868 eV per atom; E_form = -2.172 eV/atom
1.0
5.1335 0.0000 0.0000
-2.5297 4.4797 0.0000
-0.0737 -2.8688 4.6719
Li Ni O F
1 3 1 5
Direct
0.0000 0.0000 0.0000 Li
0.2633 0.5850 0.8752 Ni
0.4506 0.9525 0.4885 Ni
0.7866 0.5791 0.4120 Ni
0.1709 0.7811 0.6889 O
0.0521 0.7668 0.1825 F
0.3835 0.4795 0.1915 F
0.5427 0.4478 0.6782 F
0.6726 0.0771 0.1877 F
0.8668 0.0887 0.6908 F